[1]
{"formula": "ZrVSi", "functional": "r2SCAN", "state": "optimized geometry", "space_group": "No. 129", "lattice_angstrom": [[3.682, 0.000, 0.000], [0.000, 3.682, 0.000], [0.000, 0.000, 7.226]], "species": ["V", "V", "Zr", "Zr", "Si", "Si"], "fractional_positions": [[0.250, 0.750, 0.000], [0.750, 0.250, 0.000], [0.250, 0.250, 0.641], [0.750, 0.750, 0.359], [0.750, 0.750, 0.756], [0.250, 0.250, 0.244]]}


[2]
{"formula": "Ir3Rh", "functional": "r2SCAN", "state": "optimized geometry", "space_group": "No. 221", "lattice_angstrom": [[3.840, 0.000, 0.000], [0.000, 3.840, 0.000], [0.000, 0.000, 3.840]], "species": ["Ir", "Ir", "Ir", "Rh"], "fractional_positions": [[0.000, 0.500, 0.500], [0.500, 0.000, 0.500], [0.500, 0.500, 0.000], [0.000, 0.000, 0.000]]}


[3]
{"formula": "Ho3PbC", "functional": "r2SCAN", "state": "optimized geometry", "space_group": "No. 221", "lattice_angstrom": [[-3.665, -2.838, 1.471], [1.264, -3.342, -3.300], [2.936, -2.105, 3.256]], "species": ["C", "Pb", "Ho", "Ho", "Ho"], "fractional_positions": [[0.000, 0.000, 0.000], [0.500, 0.500, 0.500], [0.000, 0.500, 0.000], [0.000, 0.000, 0.500], [0.500, 0.000, 0.000]]}


[4]
{"formula": "TmMgAg2", "functional": "r2SCAN", "state": "optimized geometry", "space_group": "No. 225", "lattice_angstrom": [[0.000, 3.440, 3.440], [3.440, 0.000, 3.440], [3.440, 3.440, 0.000]], "species": ["Ag", "Ag", "Tm", "Mg"], "fractional_positions": [[0.500, 0.500, 0.500], [0.000, 0.000, 0.000], [0.750, 0.750, 0.750], [0.250, 0.250, 0.250]]}


[5]
{"formula": "MgNiBi", "functional": "r2SCAN", "state": "optimized geometry", "space_group": "No. 216", "lattice_angstrom": [[3.800, 0.000, 2.194], [1.267, 3.583, 2.194], [0.000, 0.000, 4.388]], "species": ["Mg", "Bi", "Ni"], "fractional_positions": [[0.250, 0.250, 0.250], [0.750, 0.750, 0.750], [0.000, 0.000, 0.000]]}


[6]
{"formula": "Ho4MgCo", "functional": "r2SCAN", "state": "optimized geometry", "space_group": "No. 216", "lattice_angstrom": [[0.000, 6.710, 6.710], [6.710, 0.000, 6.710], [6.710, 6.710, 0.000]], "species": ["Ho", "Ho", "Ho", "Ho", "Ho", "Ho", "Ho", "Ho", "Ho", "Ho", "Ho", "Ho", "Ho", "Ho", "Ho", "Ho", "Co", "Co", "Co", "Co", "Mg", "Mg", "Mg", "Mg"], "fractional_positions": [[0.814, 0.814, 0.186], [0.344, 0.344, 0.344], [0.814, 0.186, 0.814], [0.344, 0.969, 0.344], [0.186, 0.814, 0.186], [0.969, 0.344, 0.344], [0.186, 0.186, 0.814], [0.814, 0.186, 0.186], [0.938, 0.562, 0.938], [0.344, 0.344, 0.969], [0.562, 0.938, 0.938], [0.562, 0.562, 0.938], [0.562, 0.938, 0.562], [0.186, 0.814, 0.814], [0.938, 0.938, 0.562], [0.938, 0.562, 0.562], [0.579, 0.140, 0.140], [0.140, 0.140, 0.579], [0.140, 0.579, 0.140], [0.140, 0.140, 0.140], [0.579, 0.264, 0.579], [0.264, 0.579, 0.579], [0.579, 0.579, 0.579], [0.579, 0.579, 0.264]]}


[7]
{"formula": "W3O8", "functional": "r2SCAN", "state": "optimized geometry", "lattice_angstrom": [[0.000, 5.458, -2.815], [-3.791, -0.025, 6.141], [3.791, -0.025, 6.141]], "species": ["W", "W", "W", "W", "W", "W", "O", "O", "O", "O", "O", "O", "O", "O", "O", "O", "O", "O", "O", "O", "O", "O"], "fractional_positions": [[0.000, 0.500, 0.500], [0.684, 0.158, 0.158], [0.000, 0.000, 0.000], [0.316, 0.342, 0.342], [0.684, 0.658, 0.658], [0.316, 0.842, 0.842], [0.035, 0.669, 0.669], [0.965, 0.331, 0.331], [0.337, 0.517, 0.517], [0.689, 0.405, 0.905], [0.311, 0.595, 0.095], [0.965, 0.831, 0.831], [0.663, 0.983, 0.983], [0.500, 0.750, 0.750], [0.000, 0.250, 0.750], [0.663, 0.483, 0.483], [0.689, 0.905, 0.405], [0.000, 0.750, 0.250], [0.500, 0.250, 0.250], [0.311, 0.095, 0.595], [0.035, 0.169, 0.169], [0.337, 0.017, 0.017]]}


[8]
{"formula": "Lu3Al3Ga2O12", "functional": "r2SCAN", "state": "optimized geometry", "space_group": "No. 230", "lattice_angstrom": [[-5.987, 5.987, 5.987], [5.987, -5.987, 5.987], [5.987, 5.987, -5.987]], "species": ["O", "O", "O", "O", "O", "O", "O", "O", "O", "O", "O", "O", "O", "O", "O", "O", "O", "O", "O", "O", "O", "O", "O", "O", "O", "O", "O", "O", "O", "O", "O", "O", "O", "O", "O", "O", "O", "O", "O", "O", "O", "O", "O", "O", "O", "O", "O", "O", "Al", "Al", "Al", "Al", "Al", "Al", "Al", "Al", "Al", "Al", "Al", "Al", "Ga", "Ga", "Ga", "Ga", "Ga", "Ga", "Ga", "Ga", "Lu", "Lu", "Lu", "Lu", "Lu", "Lu", "Lu", "Lu", "Lu", "Lu", "Lu", "Lu"], "fractional_positions": [[0.973, 0.683, 0.098], [0.183, 0.473, 0.598], [0.085, 0.709, 0.683], [0.915, 0.124, 0.598], [0.709, 0.527, 0.624], [0.902, 0.027, 0.317], [0.598, 0.183, 0.473], [0.209, 0.124, 0.027], [0.624, 0.415, 0.098], [0.624, 0.709, 0.527], [0.098, 0.624, 0.415], [0.415, 0.817, 0.791], [0.317, 0.915, 0.291], [0.598, 0.915, 0.124], [0.402, 0.817, 0.527], [0.473, 0.376, 0.291], [0.915, 0.291, 0.317], [0.415, 0.098, 0.624], [0.376, 0.291, 0.473], [0.683, 0.098, 0.973], [0.585, 0.902, 0.376], [0.124, 0.027, 0.209], [0.876, 0.402, 0.085], [0.973, 0.791, 0.876], [0.683, 0.085, 0.709], [0.709, 0.683, 0.085], [0.902, 0.376, 0.585], [0.402, 0.085, 0.876], [0.817, 0.527, 0.402], [0.027, 0.317, 0.902], [0.291, 0.473, 0.376], [0.317, 0.902, 0.027], [0.098, 0.973, 0.683], [0.473, 0.598, 0.183], [0.085, 0.876, 0.402], [0.876, 0.973, 0.791], [0.291, 0.317, 0.915], [0.817, 0.791, 0.415], [0.124, 0.598, 0.915], [0.376, 0.585, 0.902], [0.183, 0.209, 0.585], [0.209, 0.585, 0.183], [0.027, 0.209, 0.124], [0.791, 0.876, 0.973], [0.527, 0.402, 0.817], [0.585, 0.183, 0.209], [0.791, 0.415, 0.817], [0.527, 0.624, 0.709], [0.375, 0.625, 0.750], [0.375, 0.250, 0.625], [0.125, 0.750, 0.875], [0.125, 0.875, 0.250], [0.750, 0.375, 0.625], [0.750, 0.875, 0.125], [0.875, 0.125, 0.750], [0.625, 0.375, 0.250], [0.875, 0.250, 0.125], [0.250, 0.125, 0.875], [0.625, 0.750, 0.375], [0.250, 0.625, 0.375], [0.000, 0.000, 0.500], [0.500, 0.000, 0.000], [0.500, 0.000, 0.500], [0.000, 0.500, 0.000], [0.500, 0.500, 0.500], [0.000, 0.500, 0.500], [0.500, 0.500, 0.000], [0.000, 0.000, 0.000], [0.250, 0.375, 0.125], [0.375, 0.125, 0.250], [0.875, 0.750, 0.625], [0.625, 0.250, 0.875], [0.750, 0.125, 0.375], [0.750, 0.625, 0.875], [0.375, 0.750, 0.125], [0.125, 0.250, 0.375], [0.250, 0.875, 0.625], [0.625, 0.875, 0.750], [0.875, 0.625, 0.250], [0.125, 0.375, 0.750]]}


| no. | calculated formation energy (meV/atom) |
| --- | --- |
| 1 | -808 |
| 2 | -18 |
| 3 | -723 |
| 4 | -296 |
| 5 | -196 |
| 6 | -105 |
| 7 | -2213 |
| 8 | -3328 |